[1]
Material: Na7Bi3P12Pb10O48
Method: DFT, GGA-PBE
State: relaxed

**Formation energy from the elements**: -2.41 eV/atom

Cell and atoms, written as CIF:
```
data_Na7Bi3P12Pb10O48
_symmetry_space_group_name_H-M 'P 1'
_symmetry_Int_Tables_number 1
_symmetry_space_group_name_Hall 'P 1'
_cell_length_a 9.745
_cell_length_b 9.806
_cell_length_c 14.333
_cell_angle_alpha 89.99
_cell_angle_beta 89.94
_cell_angle_gamma 60.22
loop_
_atom_site_label
_atom_site_type_symbol
_atom_site_fract_x
_atom_site_fract_y
_atom_site_fract_z
Na1 Na 0.000 0.000 0.000
Na2 Na 0.001 0.996 0.512
Na3 Na 0.003 0.997 0.767
Na4 Na 0.332 0.333 0.757
Na5 Na 0.340 0.328 0.257
Na6 Na 0.667 0.944 0.384
Na7 Na 0.669 0.387 0.133
Bi1 Bi 0.343 0.317 0.510
Bi2 Bi 0.347 0.330 0.015
Bi3 Bi 0.986 0.012 0.263
P1 P 0.047 0.259 0.133
P2 P 0.050 0.259 0.630
P3 P 0.069 0.638 0.886
P4 P 0.070 0.644 0.381
P5 P 0.265 0.688 0.133
P6 P 0.268 0.683 0.630
P7 P 0.289 0.071 0.382
P8 P 0.294 0.066 0.886
P9 P 0.636 0.295 0.379
P10 P 0.641 0.290 0.888
P11 P 0.694 0.040 0.627
P12 P 0.700 0.037 0.136
Pb1 Pb 0.407 0.670 0.881
Pb2 Pb 0.408 0.916 0.634
Pb3 Pb 0.411 0.920 0.136
Pb4 Pb 0.420 0.661 0.381
Pb5 Pb 0.675 0.920 0.880
Pb6 Pb 0.678 0.401 0.637
Pb7 Pb 0.918 0.668 0.133
Pb8 Pb 0.918 0.674 0.634
Pb9 Pb 0.924 0.414 0.381
Pb10 Pb 0.925 0.401 0.885
O1 O 0.001 0.816 0.887
O2 O 0.005 0.823 0.379
O3 O 0.008 0.584 0.802
O4 O 0.012 0.586 0.296
O5 O 0.017 0.588 0.469
O6 O 0.031 0.570 0.976
O7 O 0.079 0.780 0.136
O8 O 0.084 0.774 0.634
O9 O 0.138 0.073 0.129
O10 O 0.141 0.076 0.636
O11 O 0.167 0.323 0.626
O12 O 0.168 0.011 0.382
O13 O 0.169 0.318 0.133
O14 O 0.186 0.995 0.888
O15 O 0.197 0.252 0.882
O16 O 0.198 0.258 0.379
O17 O 0.256 0.552 0.382
O18 O 0.257 0.548 0.883
O19 O 0.319 0.741 0.221
O20 O 0.322 0.744 0.545
O21 O 0.324 0.742 0.048
O22 O 0.327 0.508 0.132
O23 O 0.333 0.729 0.717
O24 O 0.335 0.502 0.626
O25 O 0.386 0.033 0.474
O26 O 0.400 0.031 0.975
O27 O 0.405 0.002 0.299
O28 O 0.410 0.004 0.801
O29 O 0.511 0.158 0.626
O30 O 0.519 0.160 0.132
O31 O 0.537 0.210 0.382
O32 O 0.552 0.191 0.883
O33 O 0.567 0.392 0.978
O34 O 0.587 0.405 0.803
O35 O 0.591 0.408 0.295
O36 O 0.592 0.397 0.470
O37 O 0.737 0.935 0.716
O38 O 0.747 0.924 0.051
O39 O 0.748 0.928 0.543
O40 O 0.748 0.934 0.225
O41 O 0.784 0.135 0.631
O42 O 0.799 0.123 0.137
O43 O 0.817 0.171 0.377
O44 O 0.820 0.184 0.889
O45 O 0.928 0.331 0.053
O46 O 0.938 0.313 0.544
O47 O 0.938 0.326 0.717
O48 O 0.951 0.296 0.227
```

---

[2]
Material: NaSrSnBiO6
Method: DFT, GGA-PBE
State: relaxed

**Formation energy from the elements**: -1.97 eV/atom

Cell and atoms, written as CIF:
```
data_NaSrSnBiO6
_symmetry_space_group_name_H-M 'F -4 3 m'
_symmetry_Int_Tables_number 216
_symmetry_space_group_name_Hall 'F -4 2 3'
_cell_length_a 8.318
_cell_length_b 8.318
_cell_length_c 8.318
_cell_angle_alpha 90.00
_cell_angle_beta 90.00
_cell_angle_gamma 90.00
loop_
_atom_site_label
_atom_site_type_symbol
_atom_site_fract_x
_atom_site_fract_y
_atom_site_fract_z
Na1 Na 0.000 0.000 0.000
Sr1 Sr 0.000 0.000 0.500
Sn1 Sn 0.250 0.250 0.250
Bi1 Bi 0.250 0.250 0.750
O1 O 0.003 0.250 0.250
```

---

| no. | M_tot (μB/cell) |
| --- | --- |
| 1 | 0.0 |
| 2 | 0.0 |